# CaB2O10

A geometry-optimized CaB2O10 structure (GGA-PBE, Materials Project).

Lattice parameters (Å, degrees): 5.9024 7.5627 9.4993 73.01 90.00 90.00
Last column: nearest neighbours and their distance in Å.
Element x y z (fractional)
Ca 0.9279 0.0000 0.2500  4 O 2.24-2.47
Ca 0.0721 0.0000 0.7500  4 O 2.24-2.47
B 0.3538 0.8941 0.1170  3 O 1.31-1.42
B 0.3538 0.1059 0.3830  3 O 1.31-1.42
B 0.6462 0.1059 0.8830  3 O 1.31-1.42
B 0.6462 0.8941 0.6170  3 O 1.31-1.42
O 0.2605 0.0026 0.9812  1 B 1.42, 1 O 1.53
O 0.2605 0.9974 0.5188  1 B 1.42, 1 O 1.53
O 0.7395 0.9974 0.0188  1 B 1.42, 1 O 1.53
O 0.7395 0.0026 0.4812  1 B 1.42, 1 O 1.53
O 0.2052 0.8129 0.2170  1 B 1.31
O 0.2052 0.1871 0.2830  1 B 1.31
O 0.7948 0.1871 0.7830  1 B 1.31
O 0.7948 0.8129 0.7170  1 B 1.31
O 0.2832 0.6050 0.9327  1 O 1.23
O 0.2832 0.3950 0.5673  1 O 1.23
O 0.7168 0.3950 0.0673  1 O 1.23
O 0.7168 0.6050 0.4327  1 O 1.23
O 0.5889 0.8796 0.1418  1 B 1.41, 1 O 1.53
O 0.5889 0.1204 0.3582  1 B 1.41, 1 O 1.53
O 0.4111 0.1204 0.8582  1 B 1.41, 1 O 1.53
O 0.4111 0.8796 0.6418  1 B 1.41, 1 O 1.53
O 0.2078 0.5489 0.5621  1 O 1.23
O 0.2078 0.4511 0.9379  1 O 1.23
O 0.7922 0.4511 0.4379  1 O 1.23
O 0.7922 0.5489 0.0621  1 O 1.23

Summary:
calculated total energy = -6.2083 eV/atom
ΔH_f (0 K) = -17.47 eV/f.u.
energy above the lowest structure with this stoichiometry = 69 meV per atom
spin magnetization = 8.00 μB/cell
E (MP2020) = -6.33 eV/atom